# SrV2As2O10 | the Materials Project database | PBE with a Hubbard U | optimized geometry
data_SrV2As2O10
_chemical_formula_sum 'Sr8 V16 As16 O80'
_cell_length_a 25.7949
_cell_length_b 4.7453
_cell_length_c 18.2015
_cell_angle_alpha 90.00
_cell_angle_beta 134.65
_cell_angle_gamma 90.00
_space_group_name_H-M_alt 'C 1 c 1'
_space_group_IT_number 9
loop_
_space_group_symop_operation_xyz
'x,y,z'
'x,-y,z+1/2'
'x+1/2,y+1/2,z'
'x+1/2,-y+1/2,z+1/2'
loop_
_atom_site_label
_atom_site_type_symbol
_atom_site_fract_x
_atom_site_fract_y
_atom_site_fract_z
_atom_site_occupancy
Sr1 Sr 0.0000 0.1247 0.0000 1
Sr2 Sr 0.2459 0.3120 0.5015 1
V1 V 0.0505 0.4746 0.3766 1
V2 V 0.1740 0.2768 0.7252 1
V3 V 0.3265 0.2233 0.7749 1
V4 V 0.4478 0.0266 0.1213 1
As1 As 0.0785 0.0224 0.2690 1
As2 As 0.1921 0.2219 0.1115 1
As3 As 0.3078 0.2754 0.3862 1
As4 As 0.4215 0.4712 0.2287 1
O1 O 0.0172 0.1992 0.1545 1
O2 O 0.0369 0.2820 0.7608 1
O3 O 0.0440 0.3149 0.4497 1
O4 O 0.0946 0.4336 0.6386 1
O5 O 0.1123 0.2229 0.3745 1
O6 O 0.1377 0.0500 0.1189 1
O7 O 0.1494 0.3305 0.9894 1
O8 O 0.1586 0.0639 0.8059 1
O9 O 0.2250 0.4727 0.6867 1
O10 O 0.2367 0.4697 0.3519 1
O11 O 0.2614 0.0163 0.1447 1
O12 O 0.2755 0.0313 0.8122 1
O13 O 0.3421 0.4288 0.6936 1
O14 O 0.3513 0.1829 0.5101 1
O15 O 0.3620 0.4490 0.3791 1
O16 O 0.3852 0.2783 0.1215 1
O17 O 0.4057 0.0651 0.8606 1
O18 O 0.4554 0.1828 0.0487 1
O19 O 0.4623 0.2183 0.7378 1
O20 O 0.4822 0.3014 0.3445 1
# V	1585	Å³/cell
# mass density	4.19	g/cm3
# excess energy over the best structure of this formula in the dataset	0.67	eV per formula unit
# formation energy	-2285	meV per atom

***

# SrV2As2O10 | the Materials Project database | PBE with a Hubbard U | optimized geometry
data_SrV2As2O10
_chemical_formula_sum 'Sr4 V8 As8 O40'
_cell_length_a 5.0010
_cell_length_b 12.7452
_cell_length_c 12.9296
_cell_angle_alpha 90.00
_cell_angle_beta 90.00
_cell_angle_gamma 90.00
_space_group_name_H-M_alt 'P 21 21 21'
_space_group_IT_number 19
loop_
_space_group_symop_operation_xyz
'x,y,z'
'-x+1/2,-y,z+1/2'
'x+1/2,-y+1/2,-z'
'-x,y+1/2,-z+1/2'
loop_
_atom_site_label
_atom_site_type_symbol
_atom_site_fract_x
_atom_site_fract_y
_atom_site_fract_z
_atom_site_occupancy
Sr1 Sr 0.2382 0.0073 0.2675 1
V1 V 0.0065 0.8478 0.0067 1
V2 V 0.2259 0.2439 0.0975 1
As1 As 0.0413 0.4671 0.9972 1
As2 As 0.2349 0.2613 0.7191 1
O1 O 0.0166 0.1868 0.2226 1
O2 O 0.0166 0.2008 0.8021 1
O3 O 0.0196 0.7126 0.4896 1
O4 O 0.0943 0.3950 0.1096 1
O5 O 0.0942 0.8983 0.6059 1
O6 O 0.1026 0.3656 0.6501 1
O7 O 0.1721 0.8481 0.1473 1
O8 O 0.1778 0.4783 0.4453 1
O9 O 0.1871 0.0558 0.4551 1
O10 O 0.2435 0.7331 0.9670 1
# V	824	Å³/cell
# mass density	4.02	g/cm3
# excess energy over the best structure of this formula in the dataset	0.00	eV per formula unit
# formation energy	-2330	meV per atom

***

# Sr2VAs2O9 | the Materials Project database | PBE with a Hubbard U | optimized geometry
data_Sr2VAs2O9
_chemical_formula_sum 'Sr8 V4 As8 O36'
_cell_length_a 7.6206
_cell_length_b 16.5494
_cell_length_c 7.0111
_cell_angle_alpha 90.00
_cell_angle_beta 120.46
_cell_angle_gamma 90.00
_space_group_name_H-M_alt 'C 1 c 1'
_space_group_IT_number 9
loop_
_space_group_symop_operation_xyz
'x,y,z'
'x,-y,z+1/2'
'x+1/2,y+1/2,z'
'x+1/2,-y+1/2,z+1/2'
loop_
_atom_site_label
_atom_site_type_symbol
_atom_site_fract_x
_atom_site_fract_y
_atom_site_fract_z
_atom_site_occupancy
Sr1 Sr 0.0000 0.0443 0.0000 1
Sr2 Sr 0.4979 0.1240 0.9988 1
V1 V 0.2754 0.2543 0.2738 1
As1 As 0.9997 0.4226 0.9996 1
As2 As 0.4994 0.3380 0.9987 1
O1 O 0.0002 0.2129 0.9945 1
O2 O 0.1140 0.1008 0.7267 1
O3 O 0.1329 0.3615 0.2337 1
O4 O 0.1651 0.2294 0.4804 1
O5 O 0.1718 0.4803 0.9774 1
O6 O 0.3267 0.0198 0.5200 1
O7 O 0.3330 0.2721 0.0219 1
O8 O 0.3650 0.1395 0.2675 1
O9 O 0.3842 0.3986 0.7698 1
# V	762	Å³/cell
# mass density	4.53	g/cm3
# formation energy	-2512	meV per atom

***

# V3As4O16 | the Materials Project database | PBE with a Hubbard U | optimized geometry
data_V3As4O16
_chemical_formula_sum 'V6 As8 O32'
_cell_length_a 7.6590
_cell_length_b 4.9932
_cell_length_c 16.3732
_cell_angle_alpha 90.00
_cell_angle_beta 106.71
_cell_angle_gamma 90.00
_space_group_name_H-M_alt 'P 1 21/c 1'
_space_group_IT_number 14
loop_
_space_group_symop_operation_xyz
'x,y,z'
'-x,-y,-z'
'-x,y+1/2,-z+1/2'
'x,-y+1/2,z+1/2'
loop_
_atom_site_label
_atom_site_type_symbol
_atom_site_fract_x
_atom_site_fract_y
_atom_site_fract_z
_atom_site_occupancy
V1 V 0.0000 0.0000 0.0000 1
V2 V 0.2964 0.0581 0.6310 1
As1 As 0.1077 0.0494 0.4075 1
As2 As 0.3812 0.0535 0.8466 1
O1 O 0.0209 0.2446 0.6022 1
O2 O 0.0954 0.7345 0.0898 1
O3 O 0.1789 0.1634 0.3245 1
O4 O 0.2340 0.1820 0.5042 1
O5 O 0.2791 0.5253 0.2388 1
O6 O 0.3245 0.6341 0.4191 1
O7 O 0.4045 0.1356 0.1569 1
O8 O 0.4723 0.6644 0.1199 1
# V	600	Å³/cell
# mass density	3.92	g/cm3
# formation energy	-1766	meV per atom

***

# VAsO4 | the Materials Project database | PBE with a Hubbard U | optimized geometry
data_VAsO4
_chemical_formula_sum 'V4 As4 O16'
_cell_length_a 6.5181
_cell_length_b 6.1556
_cell_length_c 7.9777
_cell_angle_alpha 90.00
_cell_angle_beta 114.91
_cell_angle_gamma 90.00
_space_group_name_H-M_alt 'P 1 21/c 1'
_space_group_IT_number 14
loop_
_space_group_symop_operation_xyz
'x,y,z'
'-x,-y,-z'
'-x,y+1/2,-z+1/2'
'x,-y+1/2,z+1/2'
loop_
_atom_site_label
_atom_site_type_symbol
_atom_site_fract_x
_atom_site_fract_y
_atom_site_fract_z
_atom_site_occupancy
V1 V 0.1271 0.1194 0.2098 1
As1 As 0.2961 0.6106 0.1460 1
O1 O 0.1048 0.6687 0.5696 1
O2 O 0.1544 0.0413 0.7502 1
O3 O 0.2871 0.5220 0.9414 1
O4 O 0.4382 0.1786 0.2024 1
# V	290	Å³/cell
# mass density	4.34	g/cm3
# formation energy	-1979	meV per atom

***

# VAs2O7 | the Materials Project database | PBE with a Hubbard U | optimized geometry
data_VAs2O7
_chemical_formula_sum 'V4 As8 O28'
_cell_length_a 7.1486
_cell_length_b 9.1376
_cell_length_c 9.4544
_cell_angle_alpha 90.00
_cell_angle_beta 106.51
_cell_angle_gamma 90.00
_space_group_name_H-M_alt 'P 1 21/c 1'
_space_group_IT_number 14
loop_
_space_group_symop_operation_xyz
'x,y,z'
'-x,-y,-z'
'-x,y+1/2,-z+1/2'
'x,-y+1/2,z+1/2'
loop_
_atom_site_label
_atom_site_type_symbol
_atom_site_fract_x
_atom_site_fract_y
_atom_site_fract_z
_atom_site_occupancy
V1 V 0.1963 0.0727 0.2921 1
As1 As 0.0272 0.7044 0.9602 1
As2 As 0.4156 0.7498 0.2608 1
O1 O 0.0098 0.1208 0.1122 1
O2 O 0.0206 0.5846 0.8209 1
O3 O 0.1540 0.1711 0.4539 1
O4 O 0.2448 0.6722 0.0974 1
O5 O 0.3620 0.2356 0.2716 1
O6 O 0.3685 0.5595 0.7536 1
O7 O 0.3805 0.6681 0.4058 1
# V	592	Å³/cell
# mass density	3.51	g/cm3
# formation energy	-1756	meV per atom